# RbDyS2O9 GGA-PBE optimized geometry
# - Uncorrected energy: -6.2315 eV per atom
# - Formation enthalpy at 0 K: -2215 meV per atom
# - Crystal system: monoclinic
data_RbDyS2O9
_space_group_name_H-M_alt 'P 1'
_space_group_IT_number 1
_space_group_name_Hall 'P 1'
_cell_length_a 8.609
_cell_length_b 10.688
_cell_length_c 10.197
_cell_angle_alpha 120.36
_cell_angle_beta 90.00
_cell_angle_gamma 90.00
loop_
_atom_site_label
_atom_site_type_symbol
_atom_site_fract_x
_atom_site_fract_y
_atom_site_fract_z
Dy1 Dy 0.871 0.530 0.781
Dy2 Dy 0.129 0.470 0.219
Dy3 Dy 0.629 0.030 0.281
Dy4 Dy 0.371 0.970 0.719
O1 O 0.702 0.257 0.318
O2 O 0.752 0.083 0.516
O3 O 0.207 0.979 0.026
O4 O 0.561 0.121 0.711
O5 O 0.907 0.391 0.287
O6 O 0.298 0.743 0.682
O7 O 0.395 0.124 0.982
O8 O 0.703 0.326 0.736
O9 O 0.620 0.561 0.721
O10 O 0.013 0.301 0.974
O11 O 0.487 0.801 0.474
O12 O 0.380 0.439 0.279
O13 O 0.797 0.826 0.236
O14 O 0.880 0.061 0.221
O15 O 0.105 0.624 0.482
O16 O 0.593 0.891 0.787
O17 O 0.407 0.109 0.213
O18 O 0.252 0.417 0.984
O19 O 0.605 0.876 0.018
O20 O 0.248 0.917 0.484
O21 O 0.939 0.621 0.211
O22 O 0.093 0.609 0.713
O23 O 0.439 0.879 0.289
O24 O 0.798 0.757 0.818
O25 O 0.293 0.479 0.526
O26 O 0.120 0.939 0.779
O27 O 0.748 0.583 0.016
O28 O 0.297 0.674 0.264
O29 O 0.202 0.243 0.182
O30 O 0.987 0.699 0.026
O31 O 0.793 0.021 0.974
O32 O 0.707 0.521 0.474
O33 O 0.513 0.199 0.526
O34 O 0.061 0.379 0.789
O35 O 0.203 0.174 0.764
O36 O 0.895 0.376 0.518
S1 S 0.804 0.388 0.402
S2 S 0.868 0.686 0.124
S3 S 0.196 0.612 0.598
S4 S 0.132 0.314 0.876
S5 S 0.632 0.186 0.624
S6 S 0.304 0.112 0.098
S7 S 0.696 0.888 0.902
S8 S 0.368 0.814 0.376
Rb1 Rb 0.665 0.320 0.040
Rb2 Rb 0.335 0.680 0.960
Rb3 Rb 0.835 0.820 0.540
Rb4 Rb 0.165 0.180 0.460

# Re3Te8Cl3 GGA-PBE optimized geometry
# - Uncorrected energy: -5.1545 eV per atom
# - Formation enthalpy at 0 K: -427 meV per atom
# - Crystal system: orthorhombic
data_Re3Te8Cl3
_space_group_name_H-M_alt 'P 1'
_space_group_IT_number 1
_space_group_name_Hall 'P 1'
_cell_length_a 8.695
_cell_length_b 10.879
_cell_length_c 18.846
_cell_angle_alpha 90.00
_cell_angle_beta 90.00
_cell_angle_gamma 90.00
loop_
_atom_site_label
_atom_site_type_symbol
_atom_site_fract_x
_atom_site_fract_y
_atom_site_fract_z
Cl1 Cl 0.059 0.675 0.793
Cl2 Cl 0.441 0.325 0.293
Cl3 Cl 0.559 0.325 0.707
Cl4 Cl 0.323 0.664 0.250
Cl5 Cl 0.107 0.997 0.778
Cl6 Cl 0.177 0.336 0.750
Cl7 Cl 0.607 0.003 0.722
Cl8 Cl 0.823 0.336 0.250
Cl9 Cl 0.677 0.664 0.750
Cl10 Cl 0.893 0.997 0.222
Cl11 Cl 0.941 0.675 0.207
Cl12 Cl 0.393 0.003 0.278
Te1 Te 0.955 0.559 0.602
Te2 Te 0.382 0.177 0.758
Te3 Te 0.129 0.486 0.053
Te4 Te 0.229 0.308 0.491
Te5 Te 0.729 0.692 0.009
Te6 Te 0.629 0.514 0.447
Te7 Te 0.370 0.102 0.553
Te8 Te 0.953 0.057 0.601
Te9 Te 0.618 0.177 0.242
Te10 Te 0.745 0.807 0.367
Te11 Te 0.047 0.057 0.399
Te12 Te 0.245 0.193 0.133
Te13 Te 0.882 0.823 0.742
Te14 Te 0.271 0.692 0.991
Te15 Te 0.870 0.898 0.947
Te16 Te 0.453 0.943 0.899
Te17 Te 0.349 0.808 0.429
Te18 Te 0.130 0.898 0.053
Te19 Te 0.118 0.823 0.258
Te20 Te 0.547 0.943 0.101
Te21 Te 0.455 0.441 0.898
Te22 Te 0.849 0.192 0.071
Te23 Te 0.151 0.192 0.929
Te24 Te 0.255 0.807 0.633
Te25 Te 0.755 0.193 0.867
Te26 Te 0.651 0.808 0.571
Te27 Te 0.045 0.559 0.398
Te28 Te 0.630 0.102 0.447
Te29 Te 0.771 0.308 0.509
Te30 Te 0.371 0.514 0.553
Te31 Te 0.545 0.441 0.102
Te32 Te 0.871 0.486 0.947
Re1 Re 0.653 0.068 0.985
Re2 Re 0.347 0.317 0.015
Re3 Re 0.653 0.317 0.985
Re4 Re 0.847 0.932 0.485
Re5 Re 0.153 0.932 0.515
Re6 Re 0.046 0.808 0.400
Re7 Re 0.954 0.808 0.600
Re8 Re 0.153 0.683 0.515
Re9 Re 0.546 0.192 0.100
Re10 Re 0.454 0.192 0.900
Re11 Re 0.347 0.068 0.015
Re12 Re 0.847 0.683 0.485

# Th2Fe7 GGA-PBE optimized geometry
# - Uncorrected energy: -8.2963 eV per atom
# - Formation enthalpy at 0 K: -61 meV per atom
# - Crystal system: trigonal
data_Th2Fe7
_space_group_name_H-M_alt 'P 1'
_space_group_IT_number 1
_space_group_name_Hall 'P 1'
_cell_length_a 5.122
_cell_length_b 5.122
_cell_length_c 12.679
_cell_angle_alpha 78.35
_cell_angle_beta 78.35
_cell_angle_gamma 60.00
loop_
_atom_site_label
_atom_site_type_symbol
_atom_site_fract_x
_atom_site_fract_y
_atom_site_fract_z
Fe1 Fe 0.278 0.278 0.167
Fe2 Fe 0.389 0.389 0.834
Fe3 Fe 0.109 0.610 0.671
Fe4 Fe 0.500 0.500 0.000
Fe5 Fe 0.610 0.109 0.671
Fe6 Fe 0.891 0.390 0.329
Fe7 Fe 0.610 0.610 0.671
Fe8 Fe 0.000 0.500 0.000
Fe9 Fe 0.390 0.390 0.329
Fe10 Fe 0.611 0.611 0.166
Fe11 Fe 0.390 0.891 0.329
Fe12 Fe 0.722 0.722 0.833
Fe13 Fe 0.500 0.500 0.500
Fe14 Fe 0.500 0.000 0.000
Th1 Th 0.949 0.949 0.153
Th2 Th 0.148 0.148 0.555
Th3 Th 0.852 0.852 0.445
Th4 Th 0.051 0.051 0.847

# Ge3Ir2S3 GGA-PBE optimized geometry
# - Uncorrected energy: -5.6410 eV per atom
# - Formation enthalpy at 0 K: -335 meV per atom
# - Crystal system: cubic
data_Ge3Ir2S3
_space_group_name_H-M_alt 'P 1'
_space_group_IT_number 1
_space_group_name_Hall 'P 1'
_cell_length_a 8.461
_cell_length_b 8.461
_cell_length_c 8.461
_cell_angle_alpha 90.00
_cell_angle_beta 90.00
_cell_angle_gamma 90.00
loop_
_atom_site_label
_atom_site_type_symbol
_atom_site_fract_x
_atom_site_fract_y
_atom_site_fract_z
Ir1 Ir 0.264 0.736 0.736
Ir2 Ir 0.736 0.736 0.264
Ir3 Ir 0.736 0.736 0.736
Ir4 Ir 0.736 0.264 0.736
Ir5 Ir 0.264 0.264 0.264
Ir6 Ir 0.264 0.264 0.736
Ir7 Ir 0.264 0.736 0.264
Ir8 Ir 0.736 0.264 0.264
S1 S 0.500 0.371 0.831
S2 S 0.500 0.629 0.831
S3 S 0.169 0.500 0.371
S4 S 0.629 0.831 0.500
S5 S 0.500 0.371 0.169
S6 S 0.169 0.500 0.629
S7 S 0.500 0.629 0.169
S8 S 0.371 0.831 0.500
S9 S 0.629 0.169 0.500
S10 S 0.831 0.500 0.629
S11 S 0.371 0.169 0.500
S12 S 0.831 0.500 0.371
Ge1 Ge 0.669 0.000 0.144
Ge2 Ge 0.856 0.669 0.000
Ge3 Ge 0.331 0.000 0.144
Ge4 Ge 0.856 0.331 0.000
Ge5 Ge 0.669 0.000 0.856
Ge6 Ge 0.144 0.669 0.000
Ge7 Ge 0.331 0.000 0.856
Ge8 Ge 0.144 0.331 0.000
Ge9 Ge 0.000 0.856 0.331
Ge10 Ge 0.000 0.856 0.669
Ge11 Ge 0.000 0.144 0.669
Ge12 Ge 0.000 0.144 0.331